*one*
Here is crystalline Li3Fe3P4O16 at its relaxed geometry from Materials Project. Energies are from GGA+U.

## Properties
Total moment   30.00 μB per cell
Volume   299.4 Å³/f.u.

Cell: 11.2771 6.0932 8.8606 Å, 79.52 90.00 90.00°
Atoms (fractional coordinates):
Li (0.3936, 0.8356, 0.9232)
Li (0.6134, 0.6474, 0.0628)
Li (0.8936, 0.1644, 0.0768)
Li (0.1907, 0.1058, 0.3520)
Li (0.6907, 0.8942, 0.6480)
Li (0.1134, 0.3526, 0.9372)
Fe (0.9080, 0.6118, 0.2401)
Fe (0.5835, 0.0796, 0.2653)
Fe (0.2994, 0.6204, 0.3569)
Fe (0.7994, 0.3796, 0.6431)
Fe (0.4080, 0.3882, 0.7599)
Fe (0.0835, 0.9204, 0.7347)
P (0.8673, 0.6344, 0.8972)
P (0.4119, 0.9293, 0.5906)
P (0.0874, 0.4541, 0.6093)
P (0.9119, 0.0707, 0.4094)
P (0.5874, 0.5459, 0.3907)
P (0.1352, 0.8694, 0.0856)
P (0.6352, 0.1306, 0.9144)
P (0.3673, 0.3656, 0.1028)
O (0.0348, 0.0215, 0.4852)
O (0.0548, 0.6592, 0.1411)
O (0.0673, 0.0841, 0.0844)
O (0.6915, 0.1487, 0.0719)
O (0.4400, 0.5786, 0.0827)
O (0.8063, 0.6600, 0.0536)
O (0.1915, 0.8513, 0.9281)
O (0.5673, 0.9159, 0.9156)
O (0.3063, 0.3400, 0.9464)
O (0.9400, 0.4214, 0.9173)
O (0.9422, 0.8519, 0.8442)
O (0.7369, 0.1438, 0.7932)
O (0.5548, 0.3408, 0.8589)
O (0.1065, 0.2341, 0.7252)
O (0.7719, 0.6277, 0.7718)
O (0.3764, 0.1209, 0.6795)
O (0.4422, 0.1481, 0.1558)
O (0.1278, 0.6363, 0.6981)
O (0.8145, 0.1006, 0.5273)
O (0.5348, 0.9785, 0.5148)
O (0.4126, 0.7108, 0.7169)
O (0.9558, 0.4831, 0.5569)
O (0.6700, 0.5383, 0.5305)
O (0.3145, 0.8994, 0.4727)
O (0.1700, 0.4617, 0.4695)
O (0.4558, 0.5169, 0.4431)
O (0.8764, 0.8791, 0.3205)
O (0.6065, 0.7659, 0.2748)
O (0.6278, 0.3637, 0.3019)
O (0.9126, 0.2892, 0.2831)
O (0.2369, 0.8562, 0.2068)
O (0.2719, 0.3723, 0.2282)

---

*two*
Here is crystalline Li3Fe3P4O16 at its relaxed geometry from Materials Project. Energies are from GGA+U.

## Properties
Total moment   30.00 μB per cell
Volume   318.8 Å³/f.u.

Cell: 8.1317 7.7554 10.1539 Å, 84.71 90.00 90.00°
Atoms (fractional coordinates):
Li (0.3616, 0.6375, 0.9207)
Li (0.6316, 0.8464, 0.3360)
Li (0.1316, 0.1536, 0.6640)
Li (0.8636, 0.3411, 0.5839)
Li (0.8616, 0.3625, 0.0793)
Li (0.3636, 0.6589, 0.4161)
Fe (0.6393, 0.8521, 0.8296)
Fe (0.1393, 0.1479, 0.1704)
Fe (0.5180, 0.2623, 0.1313)
Fe (0.4854, 0.2775, 0.6208)
Fe (0.9854, 0.7225, 0.3792)
Fe (0.0180, 0.7377, 0.8687)
P (0.1983, 0.5488, 0.1460)
P (0.6983, 0.4512, 0.8540)
P (0.6866, 0.4511, 0.3600)
P (0.3026, 0.0499, 0.8890)
P (0.3141, 0.0553, 0.3961)
P (0.8026, 0.9501, 0.1110)
P (0.1866, 0.5489, 0.6400)
P (0.8141, 0.9447, 0.6039)
O (0.6983, 0.3638, 0.2269)
O (0.7973, 0.8739, 0.9730)
O (0.4257, 0.9009, 0.4068)
O (0.8064, 0.8531, 0.4755)
O (0.8630, 0.8058, 0.7231)
O (0.8620, 0.8081, 0.2160)
O (0.1368, 0.6815, 0.0322)
O (0.1316, 0.6918, 0.5302)
O (0.1983, 0.6362, 0.7731)
O (0.5798, 0.6115, 0.8445)
O (0.1906, 0.6324, 0.2772)
O (0.5722, 0.6039, 0.3459)
O (0.8710, 0.5101, 0.8973)
O (0.3710, 0.4899, 0.1027)
O (0.3655, 0.4982, 0.5992)
O (0.8655, 0.5018, 0.4008)
O (0.6333, 0.0175, 0.1512)
O (0.6906, 0.3676, 0.7228)
O (0.6368, 0.3185, 0.9678)
O (0.0798, 0.3885, 0.1555)
O (0.0722, 0.3961, 0.6541)
O (0.6316, 0.3082, 0.4698)
O (0.3620, 0.1919, 0.7840)
O (0.2973, 0.1261, 0.0270)
O (0.3630, 0.1942, 0.2769)
O (0.9294, 0.1019, 0.0972)
O (0.3064, 0.1469, 0.5245)
O (0.9257, 0.0991, 0.5932)
O (0.1333, 0.9825, 0.8488)
O (0.6360, 0.9914, 0.6563)
O (0.1360, 0.0086, 0.3437)
O (0.4294, 0.8981, 0.9028)

---

In terms of stability, *two* leads; the second structure lies 0.040 eV/atom higher.

---

*one*
Here is crystalline Mg2SbWO6 at its relaxed geometry from Materials Project. Energies are from GGA+U.

## Properties
Total moment   2.00 μB per cell
Volume   120.9 Å³/f.u.

Cell: 7.9506 5.5143 5.5261 Å, 86.22 90.00 90.00°
Atoms (fractional coordinates):
Mg (0.2500, 0.5459, 0.5028)
Mg (0.7500, 0.4541, 0.4972)
Mg (0.2500, 0.0287, 0.9809)
Mg (0.7500, 0.9713, 0.0191)
Sb (0.5000, 0.5000, 0.0000)
Sb (0.0000, 0.5000, 0.0000)
W (0.5000, 0.0000, 0.5000)
W (0.0000, 0.0000, 0.5000)
O (0.5720, 0.6847, 0.6311)
O (0.9248, 0.1555, 0.8088)
O (0.0720, 0.3153, 0.3689)
O (0.4248, 0.8445, 0.1912)
O (0.5752, 0.1555, 0.8088)
O (0.0752, 0.8445, 0.1912)
O (0.7500, 0.6070, 0.1434)
O (0.9280, 0.6847, 0.6311)
O (0.2500, 0.9110, 0.6321)
O (0.4280, 0.3153, 0.3689)
O (0.2500, 0.3930, 0.8566)
O (0.7500, 0.0890, 0.3679)

---

*two*
Here is crystalline Mg2SbWO6 at its relaxed geometry from Materials Project. Energies are from GGA+U.

## Properties
Total moment   2.00 μB per cell
Volume   121.6 Å³/f.u.

Cell: 5.5514 5.4601 9.6910 Å, 55.88 90.00 90.00°
Atoms (fractional coordinates):
Mg (0.0207, 0.2521, 0.7261)
Mg (0.5207, 0.7479, 0.7739)
Mg (0.9793, 0.7479, 0.2739)
Mg (0.4793, 0.2521, 0.2261)
Sb (0.0000, 0.5000, 0.0000)
Sb (0.5000, 0.5000, 0.5000)
W (0.0000, 0.0000, 0.5000)
W (0.5000, 0.0000, 0.0000)
O (0.3034, 0.7564, 0.5992)
O (0.8034, 0.2436, 0.9008)
O (0.6966, 0.2436, 0.4008)
O (0.1966, 0.7564, 0.0992)
O (0.1469, 0.3676, 0.4563)
O (0.6469, 0.6324, 0.0437)
O (0.8531, 0.6324, 0.5437)
O (0.3531, 0.3676, 0.9563)
O (0.3743, 0.0980, 0.7732)
O (0.8743, 0.9020, 0.7268)
O (0.1257, 0.0980, 0.2732)
O (0.6257, 0.9020, 0.2268)

---

In terms of stability, *two* leads; the second structure lies 0.042 eV/atom higher.

---

*one*
Here is crystalline Sr2Co2O5 at its relaxed geometry from Materials Project. Energies are from GGA+U.

## Properties
Total moment   14.00 μB per cell
Volume   122.0 Å³/f.u.

Cell: 5.4302 5.5598 8.9435 Å, 107.50 107.21 91.47°
Atoms (fractional coordinates):
Sr (0.3799, 0.8768, 0.7772)
Sr (0.1046, 0.6009, 0.2230)
Sr (0.8791, 0.4000, 0.7773)
Sr (0.6025, 0.1236, 0.2224)
Co (0.2763, 0.1843, 0.4980)
Co (0.9885, 0.0001, 0.9998)
Co (0.7761, 0.8148, 0.5017)
Co (0.4893, 0.5009, 0.0009)
O (0.3306, 0.3929, 0.7084)
O (0.6188, 0.6072, 0.2901)
O (0.1303, 0.8652, 0.5000)
O (0.1193, 0.1735, 0.2816)
O (0.7517, 0.7613, 0.0088)
O (0.2539, 0.7472, 0.0100)
O (0.8375, 0.8291, 0.7197)
O (0.7270, 0.2572, 0.9899)
O (0.6302, 0.1289, 0.4997)
O (0.2284, 0.2361, 0.9915)

---

*two*
Here is crystalline Sr2Co2O5 at its relaxed geometry from Materials Project. Energies are from GGA+U.

## Properties
Volume   122.4 Å³/f.u.

Cell: 9.0183 9.0183 9.0183 Å, 144.91 144.29 50.94°
Atoms (fractional coordinates):
Sr (0.6193, 0.6188, 0.0165)
Sr (0.3807, 0.3972, 0.9995)
Sr (0.1023, 0.1188, 0.9995)
Sr (0.8977, 0.8972, 0.0165)
Co (0.5000, 0.0101, 0.5101)
Co (0.0000, 0.5101, 0.5101)
Co (0.6865, 0.2268, 0.4133)
Co (0.3135, 0.7268, 0.5403)
O (0.7475, 0.2549, 0.0095)
O (0.2525, 0.2619, 0.5074)
O (0.7455, 0.7549, 0.5074)
O (0.2545, 0.7619, 0.0095)
O (0.6744, 0.1665, 0.5529)
O (0.3256, 0.8784, 0.4921)
O (0.1136, 0.6665, 0.4921)
O (0.8864, 0.3784, 0.5529)
O (0.6310, 0.8742, 0.0052)
O (0.3690, 0.3742, 0.2432)

---

In terms of stability, *one* leads; the second structure lies 0.005 eV/atom higher.

---

*one*
Here is crystalline MgCo3BiO8 at its relaxed geometry from Materials Project. Energies are from GGA+U.

## Properties
Total moment   3.36 μB per cell
Volume   166.3 Å³/f.u.

Cell: 5.9240 5.7731 6.5451 Å, 63.37 116.51 119.76°
Atoms (fractional coordinates):
Mg (0.0000, 0.0000, 0.0000)
Co (0.5000, 0.5000, 0.0000)
Co (0.5000, 0.0000, 0.0000)
Co (0.0000, 0.5000, 0.0000)
Bi (0.5000, 0.5000, 0.5000)
O (0.7577, 0.7030, 0.8234)
O (0.7620, 0.2347, 0.8232)
O (0.3111, 0.7500, 0.8201)
O (0.2937, 0.2413, 0.8164)
O (0.7063, 0.7587, 0.1836)
O (0.6889, 0.2500, 0.1799)
O (0.2380, 0.7653, 0.1768)
O (0.2423, 0.2970, 0.1766)

---

*two*
Here is crystalline MgCo3BiO8 at its relaxed geometry from Materials Project. Energies are from GGA+U.

## Properties
Total moment   4.05 μB per cell
Volume   160.5 Å³/f.u.

Cell: 5.9489 6.1510 6.0580 Å, 61.15 116.32 121.16°
Atoms (fractional coordinates):
Mg (0.5000, 0.0000, 0.5000)
Co (0.5000, 0.5000, 0.0000)
Co (0.5000, 0.0000, 0.0000)
Co (0.0000, 0.5000, 0.0000)
Bi (0.5000, 0.5000, 0.5000)
O (0.7264, 0.7326, 0.7588)
O (0.7114, 0.2326, 0.7527)
O (0.3059, 0.7377, 0.8156)
O (0.2832, 0.2769, 0.7934)
O (0.7168, 0.7231, 0.2066)
O (0.6941, 0.2623, 0.1844)
O (0.2886, 0.7674, 0.2473)
O (0.2736, 0.2674, 0.2412)

---

In terms of stability, *one* leads; the second structure lies 0.068 eV/atom higher.